(1)
A plane-wave DFT calculation with meta-GGA r2SCAN was carried out for MnP2O7 after structural relaxation.

abc: 6.7327 9.2607 8.8486
angles: 117.83 99.30 96.60
Atoms (fractional coordinates):
Mn: 0.5000 0.0000 0.5000
Mn: 0.0000 0.0000 0.0000
Mn: 0.5000 0.5000 0.0000
Mn: 0.0000 0.5000 0.5000
O: 0.9373 0.5061 0.7006
O: 0.0328 0.6648 0.0288
O: 0.8326 0.2825 0.3642
O: 0.7668 0.5844 0.4617
O: 0.6701 0.0185 0.3598
O: 0.7668 0.0843 0.9617
O: 0.8326 0.7825 0.8642
O: 0.2332 0.4156 0.5383
O: 0.0328 0.1648 0.5289
O: 0.9374 0.0061 0.2006
O: 0.2332 0.9156 0.0383
O: 0.5941 0.8111 0.4866
O: 0.3299 0.9815 0.6402
O: 0.1674 0.7175 0.6358
O: 0.3299 0.4815 0.1402
O: 0.9672 0.8352 0.4712
O: 0.5941 0.3111 0.9866
O: 0.7084 0.1424 0.7033
O: 0.9672 0.3352 0.9711
O: 0.1674 0.2175 0.1358
O: 0.2916 0.3577 0.7967
O: 0.0626 0.4939 0.2994
O: 0.4059 0.1889 0.5134
O: 0.6701 0.5185 0.8598
O: 0.7085 0.6423 0.2033
O: 0.0627 0.9939 0.7994
O: 0.4059 0.6889 0.0134
O: 0.2915 0.8577 0.2967
P: 0.7465 0.7119 0.4004
P: 0.1387 0.3801 0.1420
P: 0.8613 0.6199 0.8580
P: 0.1387 0.8801 0.6420
P: 0.7465 0.2119 0.9004
P: 0.2535 0.7881 0.0996
P: 0.8613 0.1198 0.3580
P: 0.2535 0.2881 0.5996

Total moment ... 0.00 μB per formula unit



(2)
A plane-wave DFT calculation with meta-GGA r2SCAN was carried out for MnP2O7 after structural relaxation.

abc: 7.6999 4.6884 6.8232
angles: 73.70 90.00 90.00
Atoms (fractional coordinates):
O: 0.3568 0.4163 0.7322
O: 0.3081 0.4092 0.3658
O: 0.8568 0.5837 0.2678
O: 0.6794 0.0519 0.1652
O: 0.1260 0.7205 0.5159
O: 0.6260 0.2795 0.4841
O: 0.0662 0.4144 0.9068
O: 0.3296 0.1305 0.0917
O: 0.1794 0.9481 0.8348
O: 0.9461 0.1512 0.5421
O: 0.8296 0.8695 0.9083
O: 0.4461 0.8488 0.4579
O: 0.8081 0.5908 0.6342
O: 0.5662 0.5856 0.0932
Mn: 0.4913 0.2204 0.2710
Mn: 0.9913 0.7796 0.7290
P: 0.2255 0.2246 0.8976
P: 0.7255 0.7754 0.1024
P: 0.8103 0.3911 0.4930
P: 0.3103 0.6089 0.5070

Total moment ... 3.00 μB per formula unit
Space-group type ... No. 4



Which structure is the least stable? The one labeled (2).



(1)
A plane-wave DFT calculation with meta-GGA r2SCAN was carried out for Sm3In after structural relaxation.

abc: 4.9279 4.9279 4.9279
angles: 90.00 90.00 90.00
Atoms (fractional coordinates):
Sm: 0.5000 0.0000 0.5000
Sm: 0.5000 0.5000 0.0000
Sm: 0.0000 0.5000 0.5000
In: 0.0000 0.0000 0.0000

Total moment ... 1.42 μB per formula unit
Space-group type ... No. 221



(2)
A plane-wave DFT calculation with meta-GGA r2SCAN was carried out for Sm3In after structural relaxation.

abc: 7.0275 7.0275 5.6034
angles: 90.00 90.00 120.00
Atoms (fractional coordinates):
Sm: 0.3493 0.1747 0.7500
Sm: 0.6507 0.8253 0.2500
Sm: 0.1747 0.8253 0.2500
Sm: 0.1747 0.3493 0.2500
Sm: 0.8253 0.1747 0.7500
Sm: 0.8253 0.6507 0.7500
In: 0.6667 0.3333 0.2500
In: 0.3333 0.6667 0.7500

Total moment ... 0.98 μB per formula unit
Space-group type ... No. 194



Which structure is the least stable? The one labeled (2).